Here is Cs6Dy21S34Cl after structural relaxation from the Materials Project. Energies are from PBE.

The value obtained for the electronic total energy is -5.97 eV/atom. For the magnetization, the calculation gives 0.001 μB per formula unit.

Cell: 17.330 19.687 13.121 Å, 90.00 128.75 90.00°
Space group C2/m (No. 12)
Inequivalent atoms, fractional coordinates:
Cs  0.072  0.123  0.230 (multiplicity 8)
Cs  0.232  0.000  0.084 (multiplicity 4)
Dy  0.000  0.100  0.500 (multiplicity 4)
Dy  0.000  0.302  0.500 (multiplicity 4)
Dy  0.000  0.400  0.000 (multiplicity 4)
Dy  0.000  0.500  0.500 (multiplicity 2)
Dy  0.128  0.300  0.877 (multiplicity 8)
Dy  0.137  0.398  0.393 (multiplicity 8)
Dy  0.244  0.000  0.757 (multiplicity 4)
Dy  0.246  0.291  0.251 (multiplicity 8)
S  0.050  0.399  0.681 (multiplicity 8)
S  0.059  0.000  0.679 (multiplicity 4)
S  0.061  0.307  0.189 (multiplicity 8)
S  0.070  0.203  0.686 (multiplicity 8)
S  0.074  0.500  0.192 (multiplicity 4)
S  0.182  0.395  0.063 (multiplicity 8)
S  0.182  0.500  0.558 (multiplicity 4)
S  0.184  0.302  0.564 (multiplicity 8)
S  0.190  0.100  0.577 (multiplicity 8)
S  0.190  0.203  0.058 (multiplicity 8)
Cl  0.000  0.000  0.000 (multiplicity 2)



Here is CsEr2Cl7 after structural relaxation from the Materials Project. Energies are from PBE.

The value obtained for the electronic total energy is -4.56 eV/atom.

Cell: 14.354 7.027 12.608 Å, 90.00 90.00 90.00°
Space group Pnma (No. 62)
Inequivalent atoms, fractional coordinates:
Cs  0.041  0.250  0.196 (multiplicity 4)
Er  0.239  0.250  0.540 (multiplicity 4)
Er  0.249  0.750  0.344 (multiplicity 4)
Cl  0.118  0.750  0.189 (multiplicity 4)
Cl  0.131  0.009  0.425 (multiplicity 8)
Cl  0.142  0.010  0.960 (multiplicity 8)
Cl  0.180  0.015  0.694 (multiplicity 8)



Here is Cs2RbErCl6 after structural relaxation from the Materials Project. Energies are from PBE.

The value obtained for the electronic total energy is -3.98 eV/atom. For the magnetization, the calculation gives 0.000 μB per formula unit.

Cell: 11.528 11.528 11.528 Å, 90.00 90.00 90.00°
Space group Fm-3m (No. 225)
Inequivalent atoms, fractional coordinates:
Cs  0.250  0.250  0.250 (multiplicity 8)
Rb  0.000  0.000  0.000 (multiplicity 4)
Er  0.000  0.000  0.500 (multiplicity 4)
Cl  0.000  0.000  0.273 (multiplicity 24)



Here is Cs2EuCl5 after structural relaxation from the Materials Project. Energies are from PBE.

The value obtained for the electronic total energy is -4.63 eV/atom.

Cell: 9.985 7.665 15.665 Å, 90.00 90.00 90.00°
Space group Pnma (No. 62)
Inequivalent atoms, fractional coordinates:
Cs  0.024  0.250  0.213 (multiplicity 4)
Cs  0.158  0.750  0.419 (multiplicity 4)
Eu  0.175  0.750  0.064 (multiplicity 4)
Cl  0.000  0.000  0.000 (multiplicity 4)
Cl  0.023  0.750  0.206 (multiplicity 4)
Cl  0.165  0.508  0.619 (multiplicity 8)
Cl  0.212  0.250  0.407 (multiplicity 4)



Here is Cs2KEuCl6 after structural relaxation from the Materials Project. Energies are from PBE.

The value obtained for the electronic total energy is -4.38 eV/atom. For the magnetization, the calculation gives 6.011 μB per formula unit.

Cell: 11.474 11.474 11.474 Å, 90.00 90.00 90.00°
Space group Fm-3m (No. 225)
Inequivalent atoms, fractional coordinates:
Cs  0.250  0.250  0.250 (multiplicity 8)
K  0.000  0.000  0.000 (multiplicity 4)
Eu  0.000  0.000  0.500 (multiplicity 4)
Cl  0.000  0.000  0.263 (multiplicity 24)



Here is CsEuTa6Cl18 after structural relaxation from the Materials Project. Energies are from PBE.

The value obtained for the electronic total energy is -5.93 eV/atom. For the magnetization, the calculation gives 6.994 μB per formula unit.

Cell: 9.4652 9.4652 17.6216 Å, 90.00 90.00 120.00°
Space group P-31c (No. 163)
Inequivalent atoms, fractional coordinates:
Cs  0.3333  0.6667  0.2500 (multiplicity 2)
Eu  0.3333  0.6667  0.7500 (multiplicity 2)
Ta  0.0374  0.1941  0.9325 (multiplicity 12)
Cl  0.0434  0.2285  0.1586 (multiplicity 12)
Cl  0.0732  0.4332  0.8448 (multiplicity 12)
Cl  0.1398  0.4120  0.5000 (multiplicity 12)



Here is Cs2ICl6F after structural relaxation from the Materials Project. Energies are from PBE.

The value obtained for the electronic total energy is -2.59 eV/atom. For the magnetization, the calculation gives 0.002 μB per formula unit.

Cell: 10.672 10.672 10.672 Å, 90.00 90.00 90.00°
Space group Fm-3m (No. 225)
Inequivalent atoms, fractional coordinates:
Cs  0.250  0.250  0.250 (multiplicity 8)
I  0.000  0.000  0.000 (multiplicity 4)
Cl  0.000  0.000  0.240 (multiplicity 24)
F  0.000  0.000  0.500 (multiplicity 4)



Here is Cs2PbClF6 after structural relaxation from the Materials Project. Energies are from PBE.

The value obtained for the electronic total energy is -3.88 eV/atom. For the magnetization, the calculation gives 1.000 μB per formula unit.

Cell: 9.949 9.949 9.949 Å, 90.00 90.00 90.00°
Space group Fm-3m (No. 225)
Inequivalent atoms, fractional coordinates:
Cs  0.250  0.250  0.250 (multiplicity 8)
Pb  0.000  0.000  0.000 (multiplicity 4)
Cl  0.000  0.000  0.500 (multiplicity 4)
F  0.000  0.000  0.213 (multiplicity 24)